No. 1
DyBi3Ru4O14 | PBE | optimized geometry

```
DyBi3Ru4O14
1.0
3.6516 2.1082 6.0228
-3.6516 2.1082 6.0228
0.0000 -4.2165 6.0228
Dy Bi Ru O
1 3 4 14
direct
0.0000 0.0000 0.0000
0.0000 0.0000 0.5000
0.0000 0.5000 0.0000
0.5000 0.0000 0.0000
0.0000 0.5000 0.5000
0.5000 0.0000 0.5000
0.5000 0.5000 0.0000
0.5000 0.5000 0.5000
0.1200 0.1200 0.1200
0.1699 0.1699 0.5792
0.1699 0.5792 0.1699
0.1709 0.5796 0.5796
0.4204 0.4204 0.8291
0.4204 0.8291 0.4204
0.4208 0.8301 0.8301
0.5792 0.1699 0.1699
0.5796 0.1709 0.5796
0.5796 0.5796 0.1709
0.8291 0.4204 0.4204
0.8301 0.4208 0.8301
0.8301 0.8301 0.4208
0.8800 0.8800 0.8800
```

Summary:
calculated total energy: -0.511 Ry/atom
size of the total moment: 0.00 μB/f.u.

No. 2
RbYP2O7 | PBE | optimized geometry

```
RbYP2O7
1.0
7.8783 0.0000 0.0000
0.0000 11.1000 0.0000
-2.4238 0.0000 8.4829
Rb Y P O
4 4 8 28
direct
0.1878 0.1779 0.0661
0.1878 0.3221 0.5661
0.8122 0.6779 0.4339
0.8122 0.8221 0.9339
0.2352 0.5985 0.2510
0.2352 0.9015 0.7510
0.7648 0.0985 0.2490
0.7648 0.4015 0.7490
0.1282 0.6004 0.8149
0.1282 0.8996 0.3149
0.4337 0.6355 0.6872
0.4337 0.8645 0.1872
0.5663 0.1355 0.8128
0.5663 0.3645 0.3128
0.8718 0.1004 0.6851
0.8718 0.3996 0.1851
0.0051 0.5036 0.7187
0.0051 0.9964 0.2187
0.0757 0.7268 0.7467
0.0757 0.7732 0.2467
0.1431 0.5930 0.9897
0.1431 0.9070 0.4897
0.3239 0.5687 0.7965
0.3239 0.9313 0.2965
0.3315 0.6100 0.5165
0.3315 0.8900 0.0165
0.3845 0.0758 0.7647
0.3845 0.4242 0.2647
0.4478 0.7308 0.2319
0.4478 0.7692 0.7319
0.5522 0.2308 0.2681
0.5522 0.2692 0.7681
0.6155 0.5758 0.7353
0.6155 0.9242 0.2353
0.6685 0.1100 0.9835
0.6685 0.3900 0.4835
0.6761 0.0687 0.7035
0.6761 0.4313 0.2035
0.8569 0.0930 0.5103
0.8569 0.4071 0.0103
0.9243 0.2268 0.7533
0.9243 0.2732 0.2533
0.9949 0.0036 0.7813
0.9949 0.4964 0.2813
```

Summary:
calculated total energy: -0.552 Ry/atom
size of the total moment: 0.00 μB/f.u.